First-principles (GGA-PBE) data for an optimized crystal structure of Sm2Co3Ge5, as listed in the Materials Project.

Structure (POSCAR):
```
Sm2Co3Ge5
1.0
5.9187 5.6103 0.0000
-5.9187 5.6103 0.0000
0.0000 2.9126 5.0292
Co Sm Ge
6 4 10
Cartesian
-1.6516 6.2729 3.0909
-1.6516 9.3166 4.4529
5.8917 6.3385 1.2573
-5.8917 7.7948 3.7719
1.6516 7.8603 1.9383
1.6516 4.8166 0.5763
1.6304 5.1292 3.6904
-1.6304 3.6729 1.1758
-1.6304 9.0040 1.3388
1.6304 10.4603 3.8534
1.1090 2.8276 1.6696
-1.1090 4.2839 4.1842
-1.1090 11.3056 3.3596
-3.3219 7.7948 3.7719
-0.0686 6.3385 1.2573
3.2174 7.7948 3.7719
1.1090 9.8493 0.8450
3.3219 6.3385 1.2573
-3.2174 6.3385 1.2573
0.0686 7.7948 3.7719
```

Computed properties:
SG: C2/c
calculated total energy: -119.48 eV for the cell shown
calculated density: 8.36 Mg/m³

***

First-principles (GGA-PBE) data for an optimized crystal structure of Sm3Co4Ge13, as listed in the Materials Project.

Structure (POSCAR):
```
Sm3Co4Ge13
1.0
8.8585 0.0000 0.0000
0.0000 8.8585 0.0000
0.0000 0.0000 8.8585
Ge Sm Co
26 6 8
Cartesian
4.4292 4.4292 4.4292
4.4292 1.7613 3.0721
3.0721 4.4292 1.7613
4.4292 7.0972 5.7864
2.6680 0.0000 1.3572
6.1905 0.0000 1.3572
1.7613 5.7864 4.4292
7.5013 2.6680 0.0000
0.0000 1.3572 2.6680
5.7864 4.4292 1.7613
0.0000 7.5013 6.1905
2.6680 0.0000 7.5013
7.0972 5.7864 4.4292
0.0000 0.0000 0.0000
1.3572 6.1905 0.0000
1.7613 3.0721 4.4292
6.1905 0.0000 7.5013
7.5013 6.1905 0.0000
0.0000 1.3572 6.1905
4.4292 1.7613 5.7864
5.7864 4.4292 7.0972
7.0972 3.0721 4.4292
4.4292 7.0972 3.0721
1.3572 2.6680 0.0000
3.0721 4.4292 7.0972
0.0000 7.5013 2.6680
4.4292 2.2146 0.0000
2.2146 0.0000 4.4292
0.0000 4.4292 6.6439
6.6439 0.0000 4.4292
0.0000 4.4292 2.2146
4.4292 6.6439 0.0000
2.2146 6.6439 2.2146
2.2146 2.2146 6.6439
2.2146 6.6439 6.6439
2.2146 2.2146 2.2146
6.6439 2.2146 2.2146
6.6439 6.6439 2.2146
6.6439 6.6439 6.6439
6.6439 2.2146 6.6439
```

Computed properties:
SG: Pm-3n
calculated total energy: -221.81 eV for the cell shown
calculated density: 7.79 Mg/m³

***

First-principles (GGA-PBE) data for an optimized crystal structure of SmCoGe2, as listed in the Materials Project.

Structure (POSCAR):
```
SmCoGe2
1.0
0.0000 0.0000 4.2238
4.2242 0.0000 0.0000
2.1121 8.2698 0.0000
Ge Sm Co
4 2 2
Cartesian
2.1121 0.7614 1.0560
4.2242 4.1475 1.0560
4.2242 7.5084 3.1679
2.1121 4.1224 3.1679
2.1121 6.4956 1.0560
4.2242 1.7742 3.1679
4.2242 5.2367 3.1679
2.1121 3.0331 1.0560
```

Computed properties:
SG: Cmcm
calculated total energy: -47.43 eV for the cell shown
calculated density: 7.98 Mg/m³

***

First-principles (GGA-PBE) data for an optimized crystal structure of SrCo2Ge2, as listed in the Materials Project.

Structure (POSCAR):
```
SrCo2Ge2
1.0
-3.3447 2.2137 -0.4245
-0.6188 -1.6321 -3.6361
-0.9696 -4.3079 4.3357
Co Ge Sr
2 2 1
Cartesian
-1.7851 -2.8246 -0.6653
-3.1480 -0.9017 0.9405
-2.8139 -0.8419 -1.3802
-2.1192 -2.8844 1.6554
0.0000 0.0000 0.0000
```

Computed properties:
SG: I4/mmm
calculated total energy: -27.29 eV for the cell shown
calculated density: 6.52 Mg/m³

***

First-principles (GGA-PBE) data for an optimized crystal structure of TbCo2Ge2, as listed in the Materials Project.

Structure (POSCAR):
```
TbCo2Ge2
1.0
-1.9839 1.9839 5.0754
1.9839 -1.9839 5.0754
1.9839 1.9839 -5.0754
Ge Tb Co
2 1 2
Cartesian
0.0000 0.0000 6.3764
0.0000 0.0000 3.7745
0.0000 0.0000 0.0000
1.9839 0.0000 2.5377
0.0000 1.9839 2.5377
```

Computed properties:
SG: I4/mmm
calculated total energy: -31.18 eV for the cell shown
calculated density: 8.77 Mg/m³

***

First-principles (GGA-PBE) data for an optimized crystal structure of Tb3Co2Ge4, as listed in the Materials Project.

Structure (POSCAR):
```
Tb3Co2Ge4
1.0
2.0820 5.3762 0.0000
-2.0820 5.3762 0.0000
0.0000 2.4384 7.6870
Ge Tb Co
4 3 2
Cartesian
0.0000 2.5319 4.6177
0.0000 3.3253 0.6240
0.0000 9.8654 7.0630
0.0000 10.6587 3.0693
0.0000 5.7434 5.3228
0.0000 7.4473 2.3642
0.0000 0.0000 0.0000
0.0000 4.2133 2.8631
0.0000 8.9774 4.8239
```

Computed properties:
SG: C2/m
calculated total energy: -53.09 eV for the cell shown
calculated density: 8.54 Mg/m³

***

Which calculated volume belongs to each record? In order, 167.0, 347.6, 73.8, 89.3, 79.9, 172.1 Å³/f.u..